(1)
First-principles (r2SCAN) data for crystalline SmYCo4 at its relaxed geometry, as listed in the Materials Project.

a b c (Å): 5.0982 5.0980 5.0982
angles (deg): 90.00 60.00 120.00
Closest atoms and distances in Å follow each position.
Positions (direct):
Sm  0.5000  0.7500  0.7500  12 Co 2.99, 4 Y 3.12
Y  0.0000  0.0000  0.0000  12 Co 2.99, 4 Sm 3.12
Co  0.7497  0.3749  0.8754  6 Co 2.55
Co  0.2503  0.3749  0.3749  6 Co 2.55
Co  0.2503  0.8754  0.3749  6 Co 2.55
Co  0.7497  0.3749  0.3749  6 Co 2.55

Results
Space-group type: F-43m
Crystal system: cubic

(2)
First-principles (r2SCAN) data for crystalline LaPrTl2 at its relaxed geometry, as listed in the Materials Project.

a b c (Å): 5.5872 5.5872 5.5872
angles (deg): 60.00 60.00 60.00
Closest atoms and distances in Å follow each position.
Positions (direct):
La  0.5000  0.5000  0.5000  8 Tl 3.42
Pr  0.0000  0.0000  0.0000  8 Tl 3.42
Tl  0.7500  0.7500  0.7500  4 Pr 3.42, 4 La 3.42
Tl  0.2500  0.2500  0.2500  4 La 3.42, 4 Pr 3.42

Results
Space-group type: Fm-3m
Crystal system: cubic

(3)
First-principles (r2SCAN) data for crystalline NaSb3O8 at its relaxed geometry, as listed in the Materials Project.

a b c (Å): 4.7996 5.6843 10.5113
angles (deg): 82.62 90.00 90.00
Closest atoms and distances in Å follow each position.
Positions (direct):
Na  0.0000  0.0000  0.0000  6 O 2.18-2.24
Na  0.5000  0.0000  0.5000  6 O 2.18-2.24
Sb  0.5000  0.5000  0.0000  6 O 1.96-2.10
Sb  0.0209  0.2412  0.2499  6 O 1.95-2.10
Sb  0.5209  0.7588  0.2501  6 O 1.95-2.10
Sb  0.0000  0.5000  0.5000  6 O 1.96-2.10
Sb  0.4791  0.2412  0.7499  6 O 1.95-2.10
Sb  0.9791  0.7588  0.7501  6 O 1.95-2.10
O  0.2078  0.2970  0.0846  2 Sb 1.95-1.96
O  0.3504  0.7658  0.0799  2 Sb 1.96
O  0.7227  0.4822  0.1732  3 Sb 2.07-2.10
O  0.7943  0.9984  0.1855  2 Sb 1.95
O  0.2943  0.0016  0.3145  2 Sb 1.95
O  0.2227  0.5178  0.3268  3 Sb 2.07-2.10
O  0.8504  0.2342  0.4201  2 Sb 1.96
O  0.7078  0.7030  0.4154  2 Sb 1.95-1.96
O  0.2922  0.2970  0.5846  2 Sb 1.95-1.96
O  0.1496  0.7658  0.5799  2 Sb 1.96
O  0.7773  0.4822  0.6732  3 Sb 2.07-2.10
O  0.7057  0.9984  0.6855  2 Sb 1.95
O  0.2057  0.0016  0.8145  2 Sb 1.95
O  0.2773  0.5178  0.8268  3 Sb 2.07-2.10
O  0.6496  0.2342  0.9201  2 Sb 1.96
O  0.7922  0.7030  0.9154  2 Sb 1.95-1.96

Results
Space-group type: P2_1/c
Crystal system: monoclinic

(4)
First-principles (r2SCAN) data for crystalline CaSmB12 at its relaxed geometry, as listed in the Materials Project.

a b c (Å): 4.1198 4.1198 8.2499
angles (deg): 90.00 90.00 90.00
Closest atoms and distances in Å follow each position.
Positions (direct):
Ca  0.0000  0.0000  0.0000  24 B 3.03
Sm  0.0000  0.0000  0.5000  24 B 3.03
B  0.2004  0.5000  0.2504  5 B 1.65-1.75
B  0.2004  0.5000  0.7496  5 B 1.65-1.75
B  0.5000  0.5000  0.4002  5 B 1.65-1.75
B  0.5000  0.5000  0.8994  5 B 1.66-1.75
B  0.5000  0.2004  0.2504  5 B 1.65-1.75
B  0.5000  0.2004  0.7496  5 B 1.65-1.75
B  0.5000  0.5000  0.1006  5 B 1.66-1.75
B  0.5000  0.5000  0.5998  5 B 1.65-1.75
B  0.5000  0.7996  0.2504  5 B 1.65-1.75
B  0.5000  0.7996  0.7496  5 B 1.65-1.75
B  0.7996  0.5000  0.2504  5 B 1.65-1.75
B  0.7996  0.5000  0.7496  5 B 1.65-1.75

Results
Space-group type: P4/mmm
Crystal system: tetragonal

(5)
First-principles (r2SCAN) data for crystalline Zr3Sb7Pd at its relaxed geometry, as listed in the Materials Project.

a b c (Å): 3.9828 14.6170 17.7721
angles (deg): 90.00 90.00 90.00
Closest atoms and distances in Å follow each position.
Positions (direct):
Zr  0.2500  0.3107  0.8474  9 Sb 2.99-3.21
Zr  0.2500  0.1893  0.3474  9 Sb 2.99-3.21
Zr  0.7500  0.6893  0.1526  9 Sb 2.99-3.21
Zr  0.7500  0.8107  0.6526  9 Sb 2.99-3.21
Zr  0.2500  0.0314  0.8697  8 Sb 2.98-3.05
Zr  0.2500  0.4686  0.3697  8 Sb 2.98-3.05
Zr  0.7500  0.9686  0.1303  8 Sb 2.98-3.05
Zr  0.7500  0.5314  0.6303  8 Sb 2.98-3.05
Zr  0.2500  0.5874  0.8924  8 Sb 2.98-3.21
Zr  0.2500  0.9126  0.3924  8 Sb 2.98-3.21
Zr  0.7500  0.4126  0.1076  8 Sb 2.98-3.21
Zr  0.7500  0.0874  0.6076  8 Sb 2.98-3.21
Sb  0.2500  0.1952  0.5196  2 Pd 2.72, 2 Zr 2.98
Sb  0.2500  0.3048  0.0196  2 Pd 2.72, 2 Zr 2.98
Sb  0.7500  0.8048  0.4804  2 Pd 2.72, 2 Zr 2.98
Sb  0.7500  0.6952  0.9804  2 Pd 2.72, 2 Zr 2.98
Sb  0.2500  0.4289  0.5362  2 Pd 2.69, 2 Zr 3.00
Sb  0.2500  0.0711  0.0362  2 Pd 2.69, 2 Zr 3.00
Sb  0.7500  0.5711  0.4638  2 Pd 2.69, 2 Zr 3.00
Sb  0.7500  0.9289  0.9638  2 Pd 2.69, 2 Zr 3.00
Sb  0.2500  0.9394  0.5718  5 Zr 3.01-3.21, 2 Sb 3.24
Sb  0.2500  0.5606  0.0718  5 Zr 3.01-3.21, 2 Sb 3.24
Sb  0.7500  0.0606  0.4282  5 Zr 3.01-3.21, 2 Sb 3.24
Sb  0.7500  0.4394  0.9282  5 Zr 3.01-3.21, 2 Sb 3.24
Sb  0.2500  0.6765  0.5925  1 Pd 2.79, 4 Zr 2.99
Sb  0.2500  0.8235  0.0925  1 Pd 2.79, 4 Zr 2.99
Sb  0.7500  0.3235  0.4075  1 Pd 2.79, 4 Zr 2.99
Sb  0.7500  0.1765  0.9075  1 Pd 2.79, 4 Zr 2.99
Sb  0.2500  0.1473  0.7271  4 Zr 3.04-3.21, 4 Sb 3.18-3.22
Sb  0.2500  0.3527  0.2271  4 Zr 3.04-3.21, 4 Sb 3.18-3.22
Sb  0.7500  0.8527  0.2729  4 Zr 3.04-3.21, 4 Sb 3.18-3.22
Sb  0.7500  0.6473  0.7729  4 Zr 3.04-3.21, 4 Sb 3.18-3.22
Sb  0.2500  0.4805  0.7476  4 Zr 2.98-3.05, 4 Sb 3.14-3.18
Sb  0.2500  0.0195  0.2476  4 Zr 2.98-3.05, 4 Sb 3.14-3.18
Sb  0.7500  0.5195  0.2524  4 Zr 2.98-3.05, 4 Sb 3.14-3.18
Sb  0.7500  0.9805  0.7524  4 Zr 2.98-3.05, 4 Sb 3.14-3.18
Sb  0.2500  0.8194  0.7847  1 Pd 2.69
Sb  0.2500  0.6806  0.2847  1 Pd 2.69
Sb  0.7500  0.1806  0.2153  1 Pd 2.69
Sb  0.7500  0.3194  0.7153  1 Pd 2.69
Pd  0.2500  0.8102  0.9358  6 Sb 2.69-2.79
Pd  0.2500  0.6898  0.4358  6 Sb 2.69-2.79
Pd  0.7500  0.1898  0.0642  6 Sb 2.69-2.79
Pd  0.7500  0.3102  0.5642  6 Sb 2.69-2.79

Results
Space-group type: Pnma
Crystal system: orthorhombic

(6)
First-principles (r2SCAN) data for crystalline Tb3PO7 at its relaxed geometry, as listed in the Materials Project.

a b c (Å): 8.9480 8.9480 11.9839
angles (deg): 77.29 77.29 90.21
Closest atoms and distances in Å follow each position.
Positions (direct):
Tb  0.6760  0.9852  0.9143  6 O 2.22-2.48
Tb  0.9852  0.6760  0.9143  6 O 2.22-2.48
Tb  0.3109  0.7100  0.6856  6 O 2.27-2.38
Tb  0.7100  0.3109  0.6856  6 O 2.27-2.38
Tb  0.3265  0.6780  0.9969  5 O 2.20-2.35
Tb  0.6780  0.3265  0.9969  5 O 2.20-2.35
Tb  0.3498  0.0334  0.7997  6 O 2.23-2.39
Tb  0.0334  0.3498  0.7997  6 O 2.23-2.39
Tb  0.3367  0.9825  0.1323  7 O 2.24-2.46
Tb  0.9825  0.3367  0.1323  7 O 2.24-2.46
Tb  0.6842  0.0382  0.2388  7 O 2.24-2.46
Tb  0.0382  0.6842  0.2388  7 O 2.24-2.46
Tb  0.6710  0.9875  0.5715  6 O 2.23-2.39
Tb  0.9875  0.6710  0.5715  6 O 2.23-2.39
Tb  0.3427  0.6943  0.3743  5 O 2.20-2.36
Tb  0.6943  0.3427  0.3743  5 O 2.20-2.36
Tb  0.3449  0.0356  0.4568  6 O 2.22-2.48
Tb  0.0356  0.3449  0.4568  6 O 2.22-2.48
P  0.3396  0.3396  0.9566  4 O 1.53-1.57
P  0.0150  0.0150  0.3652  4 O 1.53-1.55
P  0.6811  0.6811  0.4148  4 O 1.53-1.57
P  0.6688  0.6688  0.7934  4 O 1.53-1.55
P  0.0058  0.0058  0.0060  4 O 1.53-1.55
P  0.3521  0.3521  0.5777  4 O 1.53-1.55
O  0.6176  0.0623  0.7409  4 Tb 2.22-2.34
O  0.0623  0.6176  0.7409  4 Tb 2.22-2.34
O  0.5813  0.5813  0.3634  1 P 1.57
O  0.3044  0.3044  0.4731  1 P 1.55
O  0.4995  0.6974  0.7988  1 P 1.53
O  0.6974  0.4995  0.7988  1 P 1.53
O  0.3023  0.7184  0.1856  4 Tb 2.31-2.33
O  0.7184  0.3023  0.1856  4 Tb 2.31-2.33
O  0.4395  0.4395  0.0079  1 P 1.57
O  0.5741  0.7748  0.4881  1 P 1.53
O  0.7748  0.5741  0.4881  1 P 1.53
O  0.9137  0.9137  0.4762  1 P 1.53
O  0.4032  0.9586  0.6303  4 Tb 2.22-2.34
O  0.9586  0.4032  0.6303  4 Tb 2.22-2.34
O  0.7882  0.7882  0.3058  1 P 1.56
O  0.1070  0.1070  0.8949  1 P 1.53
O  0.2160  0.7991  0.8497  4 Tb 2.23-2.30
O  0.7991  0.2160  0.8497  4 Tb 2.23-2.30
O  0.5883  0.0819  0.0745  4 Tb 2.25-2.32
O  0.0819  0.5883  0.0745  4 Tb 2.25-2.32
O  0.7165  0.7165  0.8981  1 P 1.55
O  0.4326  0.9387  0.2967  4 Tb 2.25-2.32
O  0.9387  0.4326  0.2967  4 Tb 2.25-2.32
O  0.1245  0.1245  0.3982  1 P 1.55
O  0.2541  0.2541  0.6922  1 P 1.53
O  0.7670  0.7670  0.6791  1 P 1.53
O  0.8962  0.8962  0.9732  1 P 1.55
O  0.2325  0.2325  0.0656  1 P 1.56
O  0.4467  0.2459  0.8834  1 P 1.53
O  0.2459  0.4467  0.8834  1 P 1.53
O  0.5215  0.3235  0.5723  1 P 1.53
O  0.3235  0.5215  0.5723  1 P 1.53
O  0.4282  0.9124  0.9633  4 Tb 2.20-2.28
O  0.9124  0.4282  0.9633  4 Tb 2.20-2.28
O  0.5927  0.1083  0.4078  4 Tb 2.20-2.28
O  0.1083  0.5927  0.4078  4 Tb 2.20-2.28
O  0.2217  0.8049  0.5215  4 Tb 2.23-2.30
O  0.8049  0.2217  0.5215  4 Tb 2.23-2.30
O  0.1146  0.9149  0.2943  1 P 1.53
O  0.9149  0.1146  0.2943  1 P 1.53
O  0.1060  0.9062  0.0769  1 P 1.53
O  0.9062  0.1060  0.0769  1 P 1.53

Results
Space-group type: C2/m
Crystal system: monoclinic

no.,electronic total energy (eV/atom),formation energy (eV/f.u.)
1,-17.2127,-0.3
2,-41.9016,-2.1
3,-12.3497,-19.7
4,-9.4316,-7.1
5,-25.2547,-6.6
6,-16.7381,-39.6